DFT (PBE) results for a relaxed structure of SrLaZnRuO6.

Formation energy from the elements, eV per atom: -2.521
Raw total energy, eV per atom: -6.79
Crystal system: monoclinic
V, Å³/atom: 12.8

Structure (CIF):
```
data_SrLaZnRuO6
_symmetry_space_group_name_H-M 'P 1'
_symmetry_Int_Tables_number 1
_cell_length_a 5.695
_cell_length_b 5.643
_cell_length_c 9.742
_cell_angle_alpha 54.77
_cell_angle_beta 90.00
_cell_angle_gamma 90.00
loop_
_symmetry_equiv_pos_as_xyz
'x,y,z'
loop_
_atom_site_label
_atom_site_type_symbol
_atom_site_fract_x
_atom_site_fract_y
_atom_site_fract_z
La1 La 0.292 0.758 0.752
La2 La 0.708 0.758 0.252
O1 O 0.049 0.762 0.956
O2 O 0.035 0.154 0.544
O3 O 0.965 0.154 0.044
O4 O 0.236 0.329 0.758
O5 O 0.764 0.329 0.258
O6 O 0.538 0.234 0.538
O7 O 0.478 0.830 0.459
O8 O 0.951 0.762 0.456
O9 O 0.273 0.690 0.242
O10 O 0.522 0.830 0.959
O11 O 0.462 0.234 0.038
O12 O 0.727 0.690 0.742
Sr1 Sr 0.783 0.244 0.751
Sr2 Sr 0.217 0.244 0.251
Zn1 Zn 0.756 0.500 0.001
Zn2 Zn 0.244 0.500 0.501
Ru1 Ru 0.751 0.000 0.500
Ru2 Ru 0.249 0.000 0.000
```